# 1
Here is a relaxed structure of LiAgO2 from the Materials Project. Energies are from PBE.

Values from the calculation:
- SG: C2/m, No. 12

The structure in CIF format:
```
data_LiAgO2
_space_group_name_H-M_alt 'P 1'
_space_group_IT_number 1
_cell_length_a 3.338
_cell_length_b 3.338
_cell_length_c 5.838
_cell_angle_alpha 64.88
_cell_angle_beta 64.88
_cell_angle_gamma 53.36
loop_
_space_group_symop_operation_xyz
'x,y,z'
loop_
_atom_site_label
_atom_site_fract_x
_atom_site_fract_y
_atom_site_fract_z
O1 0.899 0.899 0.272
O2 0.101 0.101 0.728
Ag1 0.500 0.500 0.000
Li1 0.500 0.500 0.500
```

---

# 2
Here is a relaxed structure of RbSrO3 from the Materials Project. Energies are from PBE.

Values from the calculation:
- SG: Pm-3m, No. 221

The structure in CIF format:
```
data_RbSrO3
_space_group_name_H-M_alt 'P 1'
_space_group_IT_number 1
_cell_length_a 4.853
_cell_length_b 4.853
_cell_length_c 4.853
_cell_angle_alpha 90.00
_cell_angle_beta 90.00
_cell_angle_gamma 90.00
loop_
_space_group_symop_operation_xyz
'x,y,z'
loop_
_atom_site_label
_atom_site_fract_x
_atom_site_fract_y
_atom_site_fract_z
Sr1 0.500 0.500 0.500
O1 0.500 0.500 0.000
O2 0.000 0.500 0.500
O3 0.500 0.000 0.500
Rb1 0.000 0.000 0.000
```

---

# 3
Here is a relaxed structure of Ca2SnS4 from the Materials Project. Energies are from PBE.

Values from the calculation:
- Largest piezoelectric modulus: 0.8 C/m²
- SG: Ama2, No. 40

The structure in CIF format:
```
data_Ca2SnS4
_space_group_name_H-M_alt 'P 1'
_space_group_IT_number 1
_cell_length_a 6.185
_cell_length_b 6.185
_cell_length_c 9.737
_cell_angle_alpha 90.00
_cell_angle_beta 90.00
_cell_angle_gamma 110.60
loop_
_space_group_symop_operation_xyz
'x,y,z'
loop_
_atom_site_label
_atom_site_fract_x
_atom_site_fract_y
_atom_site_fract_z
Sn1 0.543 0.099 0.750
Sn2 0.099 0.543 0.250
S1 0.920 0.052 0.750
S2 0.052 0.920 0.250
S3 0.884 0.348 0.053
S4 0.884 0.348 0.447
S5 0.348 0.884 0.947
S6 0.618 0.508 0.750
S7 0.508 0.618 0.250
S8 0.348 0.884 0.553
Ca1 0.792 0.792 0.500
Ca2 0.524 0.145 0.250
Ca3 0.792 0.792 0.000
Ca4 0.145 0.524 0.750
```

---

# 4
Here is a relaxed structure of SrMg6Zn from the Materials Project. Energies are from PBE.

The structure in CIF format:
```
data_SrMg6Zn
_space_group_name_H-M_alt 'P 1'
_space_group_IT_number 1
_cell_length_a 5.090
_cell_length_b 6.232
_cell_length_c 12.968
_cell_angle_alpha 90.00
_cell_angle_beta 90.00
_cell_angle_gamma 90.00
loop_
_space_group_symop_operation_xyz
'x,y,z'
loop_
_atom_site_label
_atom_site_fract_x
_atom_site_fract_y
_atom_site_fract_z
Mg1 0.000 0.000 0.302
Mg2 0.000 0.500 0.363
Mg3 0.000 0.746 0.573
Mg4 0.000 0.500 0.802
Mg5 0.000 0.000 0.863
Mg6 0.500 0.257 0.936
Mg7 0.000 0.246 0.073
Mg8 0.500 0.743 0.936
Mg9 0.500 0.243 0.436
Mg10 0.000 0.254 0.573
Mg11 0.000 0.754 0.073
Mg12 0.500 0.757 0.436
Zn1 0.500 0.000 0.120
Zn2 0.500 0.500 0.620
Sr1 0.500 0.000 0.697
Sr2 0.500 0.500 0.197
```

---

# 5
Here is a relaxed structure of Y2MgSe4 from the Materials Project. Energies are from PBE.

Values from the calculation:
- SG: Pnma, No. 62

The structure in CIF format:
```
data_Y2MgSe4
_space_group_name_H-M_alt 'P 1'
_space_group_IT_number 1
_cell_length_a 14.179
_cell_length_b 8.266
_cell_length_c 6.845
_cell_angle_alpha 90.00
_cell_angle_beta 90.00
_cell_angle_gamma 90.00
loop_
_space_group_symop_operation_xyz
'x,y,z'
loop_
_atom_site_label
_atom_site_fract_x
_atom_site_fract_y
_atom_site_fract_z
Se1 0.169 0.494 0.741
Se2 0.427 0.250 0.750
Se3 0.169 0.006 0.741
Se4 0.927 0.250 0.750
Se5 0.831 0.506 0.259
Se6 0.092 0.250 0.289
Se7 0.669 0.006 0.759
Se8 0.331 0.994 0.241
Se9 0.592 0.250 0.211
Se10 0.073 0.750 0.250
Se11 0.573 0.750 0.250
Se12 0.908 0.750 0.711
Se13 0.831 0.994 0.259
Se14 0.331 0.506 0.241
Se15 0.669 0.494 0.759
Se16 0.408 0.750 0.789
Y1 0.765 0.250 0.996
Y2 0.000 0.500 0.500
Y3 0.235 0.750 0.004
Y4 0.500 0.000 0.000
Y5 0.735 0.750 0.496
Y6 0.000 0.000 0.500
Y7 0.500 0.500 0.000
Y8 0.265 0.250 0.504
Mg1 0.092 0.250 0.920
Mg2 0.908 0.750 0.080
Mg3 0.408 0.750 0.420
Mg4 0.592 0.250 0.580
```

---

# 6
Here is a relaxed structure of Tl3AsF6 from the Materials Project. Energies are from PBE.

Values from the calculation:
- SG: P-1, No. 2

The structure in CIF format:
```
data_Tl3AsF6
_space_group_name_H-M_alt 'P 1'
_space_group_IT_number 1
_cell_length_a 8.930
_cell_length_b 7.114
_cell_length_c 7.165
_cell_angle_alpha 78.94
_cell_angle_beta 107.41
_cell_angle_gamma 128.80
loop_
_space_group_symop_operation_xyz
'x,y,z'
loop_
_atom_site_label
_atom_site_fract_x
_atom_site_fract_y
_atom_site_fract_z
F1 0.059 0.267 0.785
F2 0.217 0.005 0.939
F3 0.795 0.718 0.797
F4 0.783 0.995 0.061
F5 0.941 0.733 0.215
F6 0.205 0.282 0.203
Tl1 0.500 0.500 0.000
Tl2 0.000 0.500 0.000
Tl3 0.000 0.000 0.500
As1 0.000 0.000 0.000
```

---

# 7
Here is a relaxed structure of PdAu3 from the Materials Project. Energies are from PBE.

Values from the calculation:
- SG: Pm-3m, No. 221

The structure in CIF format:
```
data_PdAu3
_space_group_name_H-M_alt 'P 1'
_space_group_IT_number 1
_cell_length_a 4.116
_cell_length_b 4.116
_cell_length_c 4.116
_cell_angle_alpha 90.00
_cell_angle_beta 90.00
_cell_angle_gamma 90.00
loop_
_space_group_symop_operation_xyz
'x,y,z'
loop_
_atom_site_label
_atom_site_fract_x
_atom_site_fract_y
_atom_site_fract_z
Au1 0.500 0.500 0.000
Au2 0.500 0.000 0.500
Au3 0.000 0.500 0.500
Pd1 0.000 0.000 0.000
```

---

# 8
Here is a relaxed structure of Ag3Te32Au13 from the Materials Project. Energies are from PBE.

Values from the calculation:
- SG: C2, No. 5

The structure in CIF format:
```
data_Ag3Te32Au13
_space_group_name_H-M_alt 'P 1'
_space_group_IT_number 1
_cell_length_a 17.553
_cell_length_b 17.553
_cell_length_c 9.089
_cell_angle_alpha 89.93
_cell_angle_beta 89.93
_cell_angle_gamma 29.86
loop_
_space_group_symop_operation_xyz
'x,y,z'
loop_
_atom_site_label
_atom_site_fract_x
_atom_site_fract_y
_atom_site_fract_z
Au1 0.766 0.860 0.666
Au2 0.833 0.417 0.682
Au3 0.890 0.984 0.665
Au4 0.267 0.358 0.667
Au5 0.443 0.057 0.000
Au6 0.192 0.808 0.000
Au7 0.516 0.610 0.334
Au8 0.642 0.733 0.333
Au9 0.390 0.484 0.666
Au10 0.583 0.167 0.318
Au11 0.140 0.234 0.334
Au12 0.016 0.110 0.335
Au13 0.943 0.557 0.000
Te1 0.242 0.379 0.962
Te2 0.848 0.401 0.981
Te3 0.902 0.593 0.298
Te4 0.028 0.098 0.632
Te5 0.621 0.758 0.038
Te6 0.402 0.093 0.298
Te7 0.639 0.112 0.613
Te8 0.393 0.858 0.386
Te9 0.488 0.632 0.039
Te10 0.151 0.222 0.632
Te11 0.368 0.512 0.961
Te12 0.121 0.258 0.038
Te13 0.902 0.972 0.368
Te14 0.888 0.361 0.387
Te15 0.742 0.879 0.962
Te16 0.993 0.128 0.039
Te17 0.157 0.848 0.298
Te18 0.533 0.594 0.631
Te19 0.872 0.007 0.961
Te20 0.142 0.607 0.614
Te21 0.649 0.346 0.698
Te22 0.656 0.717 0.631
Te23 0.907 0.598 0.702
Te24 0.099 0.650 0.011
Te25 0.654 0.351 0.302
Te26 0.406 0.467 0.369
Te27 0.778 0.849 0.368
Te28 0.599 0.152 0.019
Te29 0.350 0.901 0.989
Te30 0.283 0.344 0.369
Te31 0.152 0.843 0.702
Te32 0.407 0.098 0.702
Ag1 0.324 0.927 0.683
Ag2 0.700 0.300 0.000
Ag3 0.073 0.676 0.317
```

---

| no. | formation energy (eV per formula unit) | calculated volume (A^3/atom) |
| --- | --- | --- |
| 1 | -4.337 | 11.5 |
| 2 | -6.797 | 22.9 |
| 3 | -11.258 | 24.9 |
| 4 | 0.212 | 25.7 |
| 5 | -13.671 | 28.7 |
| 6 | -20.925 | 33.8 |
| 7 | -0.315 | 17.4 |
| 8 | -3.832 | 29.0 |